Entry from the Materials Project: a relaxed SrTbO3 crystal (GGA-PBE).

Results
corrected total energy (MP2020 scheme): -7.380 eV per atom
total moment: 1.00 μB per formula unit
total energy: -6.97 eV per atom
ρ: 6.0 g cm⁻³
energy of formation from the pure elements: -3147 meV per atom
space-group type: No. 62

Unit cell a=6.227 b=8.598 c=6.048 alpha=90.00 beta=90.00 gamma=90.00
Fractional positions:
Sr (0.051, 0.250, 0.017)
Sr (0.449, 0.750, 0.517)
Sr (0.551, 0.250, 0.483)
Sr (0.949, 0.750, 0.983)
Tb (0.000, 0.000, 0.500)
Tb (0.000, 0.500, 0.500)
Tb (0.500, 0.000, 0.000)
Tb (0.500, 0.500, 0.000)
O (0.050, 0.750, 0.387)
O (0.205, 0.560, 0.797)
O (0.205, 0.940, 0.797)
O (0.295, 0.060, 0.297)
O (0.295, 0.440, 0.297)
O (0.450, 0.250, 0.887)
O (0.550, 0.750, 0.113)
O (0.705, 0.560, 0.703)
O (0.705, 0.940, 0.703)
O (0.795, 0.060, 0.203)
O (0.795, 0.440, 0.203)
O (0.950, 0.250, 0.613)

***

Entry from the Materials Project: a relaxed SrTb2O4 crystal (GGA-PBE).

Results
corrected total energy (MP2020 scheme): -8.109 eV per atom
total energy: -7.72 eV per atom
ρ: 7.3 g cm⁻³
energy of formation from the pure elements: -3716 meV per atom
space-group type: No. 62

Unit cell a=10.200 b=3.453 c=12.062 alpha=90.00 beta=90.00 gamma=90.00
Fractional positions:
Sr (0.247, 0.250, 0.149)
Sr (0.253, 0.750, 0.649)
Sr (0.747, 0.250, 0.351)
Sr (0.753, 0.750, 0.851)
Tb (0.077, 0.250, 0.388)
Tb (0.077, 0.250, 0.889)
Tb (0.423, 0.750, 0.389)
Tb (0.423, 0.750, 0.888)
Tb (0.577, 0.250, 0.112)
Tb (0.577, 0.250, 0.611)
Tb (0.923, 0.750, 0.111)
Tb (0.923, 0.750, 0.612)
O (0.015, 0.750, 0.784)
O (0.075, 0.250, 0.578)
O (0.126, 0.750, 0.020)
O (0.211, 0.750, 0.324)
O (0.289, 0.250, 0.824)
O (0.374, 0.250, 0.520)
O (0.425, 0.750, 0.078)
O (0.485, 0.250, 0.284)
O (0.515, 0.750, 0.716)
O (0.575, 0.250, 0.922)
O (0.626, 0.750, 0.480)
O (0.711, 0.750, 0.176)
O (0.789, 0.250, 0.676)
O (0.874, 0.250, 0.980)
O (0.925, 0.750, 0.422)
O (0.985, 0.250, 0.216)

***

Entry from the Materials Project: a relaxed Sr2TbTiO6 crystal (GGA-PBE).

Results
corrected total energy (MP2020 scheme): -7.859 eV per atom
total moment: 1.00 μB per formula unit
total energy: -7.45 eV per atom
ρ: 5.4 g cm⁻³
energy of formation from the pure elements: -3299 meV per atom
space-group type: No. 225

Unit cell a=5.912 b=5.912 c=5.912 alpha=60.00 beta=60.00 gamma=60.00
Fractional positions:
Sr (0.250, 0.250, 0.250)
Sr (0.750, 0.750, 0.750)
Tb (0.000, 0.000, 0.000)
Ti (0.500, 0.500, 0.500)
O (0.266, 0.266, 0.734)
O (0.266, 0.734, 0.266)
O (0.266, 0.734, 0.734)
O (0.734, 0.266, 0.266)
O (0.734, 0.266, 0.734)
O (0.734, 0.734, 0.266)

***

Entry from the Materials Project: a relaxed Sr2TbZrO6 crystal (GGA-PBE).

Results
corrected total energy (MP2020 scheme): -8.000 eV per atom
total moment: 1.00 μB per formula unit
total energy: -7.59 eV per atom
ρ: 5.5 g cm⁻³
energy of formation from the pure elements: -3375 meV per atom
space-group type: No. 201

Unit cell a=8.546 b=8.546 c=8.546 alpha=90.00 beta=90.00 gamma=90.00
Fractional positions:
Sr (0.250, 0.250, 0.250)
Sr (0.250, 0.250, 0.750)
Sr (0.250, 0.750, 0.250)
Sr (0.250, 0.750, 0.750)
Sr (0.750, 0.250, 0.250)
Sr (0.750, 0.250, 0.750)
Sr (0.750, 0.750, 0.250)
Sr (0.750, 0.750, 0.750)
Tb (0.000, 0.000, 0.000)
Tb (0.000, 0.500, 0.500)
Tb (0.500, 0.000, 0.500)
Tb (0.500, 0.500, 0.000)
Zr (0.000, 0.000, 0.500)
Zr (0.000, 0.500, 0.000)
Zr (0.500, 0.000, 0.000)
Zr (0.500, 0.500, 0.500)
O (0.036, 0.543, 0.758)
O (0.036, 0.957, 0.742)
O (0.043, 0.242, 0.536)
O (0.043, 0.258, 0.964)
O (0.242, 0.536, 0.043)
O (0.242, 0.964, 0.457)
O (0.258, 0.536, 0.457)
O (0.258, 0.964, 0.043)
O (0.457, 0.242, 0.964)
O (0.457, 0.258, 0.536)
O (0.464, 0.543, 0.742)
O (0.464, 0.957, 0.758)
O (0.536, 0.043, 0.242)
O (0.536, 0.457, 0.258)
O (0.543, 0.742, 0.464)
O (0.543, 0.758, 0.036)
O (0.742, 0.036, 0.957)
O (0.742, 0.464, 0.543)
O (0.758, 0.036, 0.543)
O (0.758, 0.464, 0.957)
O (0.957, 0.742, 0.036)
O (0.957, 0.758, 0.464)
O (0.964, 0.043, 0.258)
O (0.964, 0.457, 0.242)